# Fe3OF5 (GGA+U, optimized geometry)
data_Fe3OF5
_symmetry_space_group_name_H-M 'P 1'
_symmetry_Int_Tables_number 1
_symmetry_space_group_name_Hall 'P 1'
_cell_length_a 4.814
_cell_length_b 4.814
_cell_length_c 9.671
_cell_angle_alpha 90.00
_cell_angle_beta 90.00
_cell_angle_gamma 92.01
loop_
_atom_site_label
_atom_site_type_symbol
_atom_site_fract_x
_atom_site_fract_y
_atom_site_fract_z
Fe1 Fe 0.008 0.008 0.825
Fe2 Fe 0.030 0.030 0.500
Fe3 Fe 0.008 0.008 0.175
Fe4 Fe 0.483 0.483 0.662
Fe5 Fe 0.505 0.505 0.000
Fe6 Fe 0.483 0.483 0.338
O1 O 0.196 0.196 0.657
O2 O 0.196 0.196 0.343
F1 F 0.203 0.203 0.000
F2 F 0.697 0.306 0.827
F3 F 0.703 0.295 0.500
F4 F 0.697 0.306 0.173
F5 F 0.306 0.697 0.827
F6 F 0.295 0.703 0.500
F7 F 0.306 0.697 0.173
F8 F 0.789 0.789 0.651
F9 F 0.809 0.809 0.000
F10 F 0.789 0.789 0.349
# total moment = 13.00 μB/f.u.
# uncorrected energy = -5.71 eV per atom
# energy relative to the lowest polymorph listed for this composition = 0.32 eV per formula unit
# calculated formation energy = -21.2 eV per formula unit
# space group = Amm2 (38)


# Li15V6P16O58 (GGA+U, optimized geometry)
data_Li15V6P16O58
_symmetry_space_group_name_H-M 'P 1'
_symmetry_Int_Tables_number 1
_symmetry_space_group_name_Hall 'P 1'
_cell_length_a 9.847
_cell_length_b 9.851
_cell_length_c 13.849
_cell_angle_alpha 90.16
_cell_angle_beta 89.99
_cell_angle_gamma 119.94
loop_
_atom_site_label
_atom_site_type_symbol
_atom_site_fract_x
_atom_site_fract_y
_atom_site_fract_z
Li1 Li 0.232 0.329 0.935
Li2 Li 0.096 0.325 0.442
Li3 Li 0.679 0.774 0.439
Li4 Li 0.337 0.668 0.119
Li5 Li 0.670 0.903 0.936
Li6 Li 0.098 0.764 0.937
Li7 Li 0.771 0.090 0.562
Li8 Li 0.230 0.903 0.438
Li9 Li 0.894 0.236 0.059
Li10 Li 0.335 0.100 0.062
Li11 Li 0.665 0.331 0.383
Li12 Li 0.317 0.227 0.563
Li13 Li 0.910 0.686 0.562
Li14 Li 0.764 0.662 0.061
Li15 Li 0.998 0.998 0.998
V1 V 0.566 0.999 0.750
V2 V 0.434 0.002 0.249
V3 V 0.999 0.433 0.250
V4 V 0.001 0.567 0.749
V5 V 0.433 0.434 0.751
V6 V 0.567 0.566 0.250
P1 P 0.225 0.316 0.155
P2 P 0.086 0.318 0.657
P3 P 0.679 0.769 0.658
P4 P 0.333 0.669 0.875
P5 P 0.329 0.666 0.375
P6 P 0.684 0.911 0.156
P7 P 0.770 0.092 0.343
P8 P 0.088 0.772 0.156
P9 P 0.911 0.228 0.842
P10 P 0.232 0.911 0.658
P11 P 0.313 0.085 0.844
P12 P 0.667 0.332 0.627
P13 P 0.671 0.335 0.123
P14 P 0.321 0.232 0.344
P15 P 0.911 0.679 0.344
P16 P 0.775 0.688 0.842
O1 O 0.244 0.251 0.433
O2 O 0.246 0.331 0.656
O3 O 0.997 0.219 0.931
O4 O 0.075 0.328 0.155
O5 O 0.370 0.480 0.163
O6 O 0.320 0.513 0.841
O7 O 0.520 0.626 0.674
O8 O 0.791 0.786 0.931
O9 O 0.674 0.750 0.155
O10 O 0.181 0.517 0.325
O11 O 0.098 0.479 0.680
O12 O 0.480 0.669 0.336
O13 O 0.334 0.678 0.985
O14 O 0.310 0.648 0.482
O15 O 0.489 0.812 0.836
O16 O 0.105 0.624 0.167
O17 O 0.190 0.681 0.836
O18 O 0.667 0.921 0.660
O19 O 0.784 0.001 0.250
O20 O 0.756 0.998 0.432
O21 O 0.774 0.004 0.067
O22 O 0.519 0.890 0.166
O23 O 0.325 0.812 0.336
O24 O 0.744 0.082 0.841
O25 O 0.380 0.898 0.677
O26 O 0.084 0.747 0.657
O27 O 0.995 0.207 0.749
O28 O 0.992 0.246 0.567
O29 O 0.007 0.755 0.433
O30 O 0.924 0.252 0.343
O31 O 0.631 0.120 0.329
O32 O 0.249 0.919 0.154
O33 O 0.675 0.186 0.668
O34 O 0.469 0.088 0.832
O35 O 0.221 0.995 0.933
O36 O 0.245 0.001 0.568
O37 O 0.208 0.998 0.750
O38 O 0.326 0.078 0.344
O39 O 0.817 0.329 0.172
O40 O 0.909 0.380 0.832
O41 O 0.517 0.190 0.161
O42 O 0.690 0.333 0.016
O43 O 0.675 0.330 0.518
O44 O 0.514 0.325 0.662
O45 O 0.886 0.512 0.327
O46 O 0.815 0.486 0.666
O47 O 0.330 0.248 0.845
O48 O 0.216 0.218 0.251
O49 O 0.223 0.222 0.067
O50 O 0.489 0.370 0.328
O51 O 0.678 0.488 0.161
O52 O 0.626 0.532 0.836
O53 O 0.923 0.667 0.838
O54 O 0.994 0.766 0.067
O55 O 0.001 0.785 0.251
O56 O 0.752 0.671 0.346
O57 O 0.762 0.764 0.568
O58 O 0.794 0.794 0.749
# total moment = 9.00 μB/f.u.
# uncorrected energy = -6.98 eV per atom
# calculated formation energy = -256.6 eV per formula unit
# space group = P1 (1)


# Mo2P4O15 (GGA+U, optimized geometry)
data_Mo2P4O15
_symmetry_space_group_name_H-M 'P 1'
_symmetry_Int_Tables_number 1
_symmetry_space_group_name_Hall 'P 1'
_cell_length_a 8.979
_cell_length_b 8.517
_cell_length_c 9.523
_cell_angle_alpha 71.14
_cell_angle_beta 90.00
_cell_angle_gamma 90.00
loop_
_atom_site_label
_atom_site_type_symbol
_atom_site_fract_x
_atom_site_fract_y
_atom_site_fract_z
Mo1 Mo 0.513 0.189 0.003
Mo2 Mo 0.954 0.454 0.597
Mo3 Mo 0.013 0.811 0.997
Mo4 Mo 0.454 0.546 0.403
P1 P 0.674 0.832 0.190
P2 P 0.134 0.657 0.264
P3 P 0.292 0.796 0.585
P4 P 0.894 0.945 0.396
P5 P 0.174 0.168 0.810
P6 P 0.634 0.343 0.736
P7 P 0.792 0.204 0.415
P8 P 0.394 0.055 0.604
O1 O 0.905 0.302 0.486
O2 O 0.366 0.285 0.138
O3 O 0.903 0.145 0.298
O4 O 0.122 0.352 0.737
O5 O 0.310 0.997 0.472
O6 O 0.230 0.319 0.126
O7 O 0.152 0.759 0.899
O8 O 0.305 0.657 0.240
O9 O 0.105 0.576 0.429
O10 O 0.294 0.157 0.926
O11 O 0.385 0.355 0.414
O12 O 0.591 0.152 0.815
O13 O 0.537 0.420 0.833
O14 O 0.238 0.113 0.677
O15 O 0.535 0.940 0.127
O16 O 0.405 0.698 0.514
O17 O 0.866 0.715 0.862
O18 O 0.403 0.855 0.702
O19 O 0.622 0.648 0.263
O20 O 0.810 0.003 0.528
O21 O 0.730 0.681 0.874
O22 O 0.652 0.241 0.101
O23 O 0.805 0.343 0.760
O24 O 0.605 0.424 0.571
O25 O 0.794 0.843 0.074
O26 O 0.885 0.645 0.586
O27 O 0.091 0.848 0.185
O28 O 0.037 0.580 0.167
O29 O 0.738 0.887 0.323
O30 O 0.035 0.060 0.873
# total moment = 0.01 μB/f.u.
# uncorrected energy = -6.77 eV per atom
# energy relative to the lowest polymorph listed for this composition = 17.62 eV per formula unit
# calculated formation energy = -33.4 eV per formula unit
# space group = P2_1 (4)


# LaW9O28 (GGA+U, optimized geometry)
data_LaW9O28
_symmetry_space_group_name_H-M 'P 1'
_symmetry_Int_Tables_number 1
_symmetry_space_group_name_Hall 'P 1'
_cell_length_a 13.039
_cell_length_b 13.039
_cell_length_c 3.903
_cell_angle_alpha 90.00
_cell_angle_beta 90.00
_cell_angle_gamma 120.00
loop_
_atom_site_label
_atom_site_type_symbol
_atom_site_fract_x
_atom_site_fract_y
_atom_site_fract_z
La1 La 0.000 0.000 0.979
W1 W 0.000 0.500 0.000
W2 W 0.168 0.832 0.001
W3 W 0.168 0.336 0.001
W4 W 0.500 0.500 0.000
W5 W 0.500 0.000 0.000
W6 W 0.664 0.832 0.001
W7 W 0.832 0.664 0.001
W8 W 0.832 0.168 0.001
W9 W 0.336 0.168 0.001
O1 O 0.881 0.333 0.000
O2 O 0.881 0.548 0.000
O3 O 0.000 0.500 0.500
O4 O 0.119 0.667 0.000
O5 O 0.119 0.452 0.000
O6 O 0.167 0.833 0.499
O7 O 0.167 0.335 0.499
O8 O 0.333 0.452 0.000
O9 O 0.333 0.881 0.000
O10 O 0.452 0.333 0.000
O11 O 0.452 0.119 0.000
O12 O 0.500 0.500 0.500
O13 O 0.500 0.000 0.500
O14 O 0.548 0.881 0.000
O15 O 0.548 0.667 0.000
O16 O 0.665 0.833 0.499
O17 O 0.667 0.548 0.000
O18 O 0.667 0.119 0.000
O19 O 0.790 0.790 0.998
O20 O 0.790 0.000 0.998
O21 O 0.833 0.665 0.499
O22 O 0.833 0.167 0.499
O23 O 0.000 0.790 0.998
O24 O 0.000 0.000 0.479
O25 O 0.000 0.210 0.998
O26 O 0.210 0.000 0.998
O27 O 0.210 0.210 0.998
O28 O 0.335 0.167 0.499
# total moment = 0.07 μB/f.u.
# uncorrected energy = -7.55 eV per atom
# calculated formation energy = -86.2 eV per formula unit
# space group = P6mm (183)


# MnTe2O5 (GGA+U, optimized geometry)
data_MnTe2O5
_symmetry_space_group_name_H-M 'P 1'
_symmetry_Int_Tables_number 1
_symmetry_space_group_name_Hall 'P 1'
_cell_length_a 8.947
_cell_length_b 8.947
_cell_length_c 13.143
_cell_angle_alpha 90.00
_cell_angle_beta 90.00
_cell_angle_gamma 90.00
loop_
_atom_site_label
_atom_site_type_symbol
_atom_site_fract_x
_atom_site_fract_y
_atom_site_fract_z
Mn1 Mn 0.250 0.250 0.000
Mn2 Mn 0.250 0.250 0.500
Mn3 Mn 0.750 0.750 0.000
Mn4 Mn 0.750 0.750 0.500
Mn5 Mn 0.250 0.250 0.250
Mn6 Mn 0.250 0.250 0.750
Mn7 Mn 0.750 0.750 0.750
Mn8 Mn 0.750 0.750 0.250
Te1 Te 0.036 0.936 0.616
Te2 Te 0.564 0.036 0.116
Te3 Te 0.464 0.936 0.384
Te4 Te 0.464 0.564 0.616
Te5 Te 0.936 0.464 0.116
Te6 Te 0.564 0.464 0.884
Te7 Te 0.936 0.036 0.884
Te8 Te 0.036 0.564 0.384
Te9 Te 0.964 0.436 0.616
Te10 Te 0.064 0.964 0.116
Te11 Te 0.436 0.536 0.116
Te12 Te 0.964 0.064 0.384
Te13 Te 0.536 0.436 0.384
Te14 Te 0.536 0.064 0.616
Te15 Te 0.436 0.964 0.884
Te16 Te 0.064 0.536 0.884
O1 O 0.052 0.052 0.750
O2 O 0.448 0.052 0.250
O3 O 0.052 0.448 0.250
O4 O 0.448 0.448 0.750
O5 O 0.948 0.948 0.250
O6 O 0.552 0.948 0.750
O7 O 0.948 0.552 0.750
O8 O 0.552 0.552 0.250
O9 O 0.875 0.520 0.952
O10 O 0.625 0.980 0.952
O11 O 0.520 0.875 0.548
O12 O 0.520 0.625 0.452
O13 O 0.980 0.875 0.452
O14 O 0.625 0.520 0.048
O15 O 0.875 0.980 0.048
O16 O 0.604 0.672 0.867
O17 O 0.125 0.480 0.048
O18 O 0.375 0.020 0.048
O19 O 0.480 0.125 0.452
O20 O 0.480 0.375 0.548
O21 O 0.020 0.125 0.548
O22 O 0.375 0.480 0.952
O23 O 0.125 0.020 0.952
O24 O 0.020 0.375 0.452
O25 O 0.172 0.104 0.367
O26 O 0.396 0.172 0.867
O27 O 0.104 0.328 0.867
O28 O 0.172 0.396 0.633
O29 O 0.328 0.104 0.633
O30 O 0.328 0.396 0.367
O31 O 0.104 0.172 0.133
O32 O 0.396 0.328 0.133
O33 O 0.828 0.896 0.633
O34 O 0.604 0.828 0.133
O35 O 0.896 0.672 0.133
O36 O 0.828 0.604 0.367
O37 O 0.672 0.896 0.367
O38 O 0.672 0.604 0.633
O39 O 0.896 0.828 0.867
O40 O 0.980 0.625 0.548
# total moment = 5.00 μB/f.u.
# uncorrected energy = -6.06 eV per atom
# energy relative to the lowest polymorph listed for this composition = 0.02 eV per formula unit
# calculated formation energy = -13.4 eV per formula unit
# space group = P4_2/nbc (133)


# Sr2CdWO6 (GGA+U, optimized geometry)
data_Sr2CdWO6
_symmetry_space_group_name_H-M 'P 1'
_symmetry_Int_Tables_number 1
_symmetry_space_group_name_Hall 'P 1'
_cell_length_a 5.959
_cell_length_b 5.808
_cell_length_c 10.098
_cell_angle_alpha 54.84
_cell_angle_beta 90.00
_cell_angle_gamma 90.00
loop_
_atom_site_label
_atom_site_type_symbol
_atom_site_fract_x
_atom_site_fract_y
_atom_site_fract_z
Sr1 Sr 0.954 0.242 0.248
Sr2 Sr 0.454 0.758 0.252
Sr3 Sr 0.046 0.758 0.752
Sr4 Sr 0.546 0.242 0.748
Cd1 Cd 0.000 0.500 0.500
Cd2 Cd 0.500 0.500 0.000
W1 W 0.500 0.000 0.500
W2 W 0.000 0.000 0.000
O1 O 0.230 0.871 0.449
O2 O 0.730 0.129 0.051
O3 O 0.770 0.129 0.551
O4 O 0.270 0.871 0.949
O5 O 0.685 0.768 0.459
O6 O 0.185 0.232 0.041
O7 O 0.315 0.232 0.541
O8 O 0.815 0.768 0.959
O9 O 0.032 0.685 0.228
O10 O 0.532 0.315 0.272
O11 O 0.968 0.315 0.772
O12 O 0.468 0.685 0.728
# total moment = 0.00 μB/f.u.
# uncorrected energy = -6.46 eV per atom
# calculated formation energy = -26.2 eV per formula unit
# space group = P2_1/c (14)